1.
Compound: Cu3Ge
Source: the Materials Project database
Functional: PBE-GGA
Structure: relaxed

Energy of formation ... 0.14 eV per atom

Cell and atoms, written as POSCAR:
```
Cu3Ge
1.0
1.364 -2.363 0.000
1.364 2.363 0.000
0.000 0.000 8.269
Cu Ge
3 1
Direct
0.333 0.667 0.500
0.000 0.000 0.742
0.000 0.000 0.258
0.333 0.667 0.000
```

---

2.
Compound: Ho9B4O19
Source: the Materials Project database
Functional: PBE-GGA
Structure: relaxed

Energy of formation ... -3.67 eV per atom

Cell and atoms, written as POSCAR:
```
Ho9B4O19
1.0
7.291 0.000 0.000
1.817 9.145 0.000
1.826 2.075 12.294
Ho B O
18 8 38
Direct
0.751 0.006 0.993
0.249 0.994 0.007
0.376 0.894 0.597
0.880 0.888 0.594
0.464 0.841 0.266
0.983 0.840 0.265
0.686 0.519 0.736
0.184 0.534 0.733
0.576 0.646 0.045
0.079 0.645 0.044
0.921 0.355 0.956
0.424 0.354 0.955
0.314 0.481 0.264
0.816 0.466 0.267
0.536 0.159 0.734
0.017 0.160 0.735
0.624 0.106 0.403
0.120 0.112 0.406
0.341 0.816 0.820
0.841 0.814 0.820
0.718 0.658 0.469
0.217 0.648 0.485
0.282 0.342 0.531
0.783 0.352 0.515
0.659 0.184 0.180
0.159 0.186 0.180
0.316 0.966 0.771
0.815 0.965 0.771
0.399 0.972 0.416
0.909 0.967 0.414
0.823 0.778 0.931
0.323 0.778 0.932
0.525 0.881 0.087
0.991 0.880 0.087
0.884 0.710 0.750
0.385 0.711 0.751
0.680 0.708 0.568
0.177 0.733 0.567
0.722 0.741 0.368
0.232 0.699 0.377
0.149 0.496 0.912
0.647 0.500 0.911
0.549 0.606 0.234
0.031 0.605 0.234
0.242 0.497 0.532
0.758 0.503 0.468
0.451 0.394 0.766
0.969 0.395 0.766
0.353 0.500 0.089
0.851 0.504 0.088
0.278 0.259 0.632
0.768 0.301 0.623
0.320 0.292 0.432
0.823 0.267 0.433
0.615 0.289 0.249
0.116 0.290 0.250
0.475 0.119 0.913
0.009 0.120 0.913
0.677 0.222 0.068
0.177 0.222 0.069
0.601 0.028 0.584
0.091 0.033 0.586
0.684 0.034 0.229
0.185 0.035 0.229
```

---

3.
Compound: Ba4PrYCu6O14
Source: the Materials Project database
Functional: PBE-GGA
Structure: relaxed

Energy of formation ... -2.16 eV per atom
ΔE to the lowest computed polymorph ... 9 meV/atom

Cell and atoms, written as POSCAR:
```
Ba4PrYCu6O14
1.0
-1.224 3.078 -2.016
1.522 -1.552 -3.295
-20.712 -11.084 -4.348
Ba Pr Y Cu O
4 1 1 6 14
Direct
0.500 0.500 0.341
0.500 0.500 0.839
0.500 0.500 0.659
0.500 0.500 0.161
0.500 0.500 0.000
0.500 0.500 0.500
0.000 0.000 0.427
0.000 0.000 0.923
0.000 0.000 0.573
0.000 0.000 0.077
0.000 0.000 0.251
0.000 0.000 0.749
0.500 0.000 0.440
0.500 0.000 0.935
0.500 0.000 0.560
0.500 0.000 0.065
0.000 0.500 0.440
0.000 0.500 0.935
0.000 0.500 0.560
0.000 0.500 0.065
0.000 0.000 0.329
0.000 0.000 0.828
0.000 0.000 0.671
0.000 0.000 0.172
0.000 0.500 0.251
0.000 0.500 0.749
```

---

4.
Compound: LiP2H8NO8
Source: the Materials Project database
Functional: PBE-GGA
Structure: relaxed

Energy of formation ... -1.74 eV per atom

Cell and atoms, written as POSCAR:
```
LiP2H8NO8
1.0
7.766 0.000 0.000
0.000 13.079 0.000
-1.418 0.000 7.508
Li P H N O
4 8 32 4 32
Direct
0.838 0.396 0.312
0.162 0.896 0.188
0.162 0.604 0.688
0.838 0.104 0.812
0.813 0.166 0.422
0.187 0.666 0.078
0.187 0.834 0.578
0.813 0.334 0.922
0.244 0.427 0.453
0.756 0.927 0.047
0.756 0.573 0.547
0.244 0.073 0.953
0.314 0.046 0.458
0.686 0.546 0.042
0.686 0.954 0.542
0.314 0.454 0.958
0.501 0.117 0.497
0.499 0.617 0.003
0.499 0.883 0.503
0.501 0.383 0.997
0.330 0.148 0.329
0.670 0.648 0.171
0.670 0.852 0.671
0.330 0.352 0.829
0.311 0.164 0.543
0.689 0.664 0.957
0.689 0.836 0.457
0.311 0.336 0.043
0.728 0.185 0.136
0.272 0.685 0.364
0.272 0.815 0.864
0.728 0.315 0.636
0.953 0.045 0.304
0.047 0.545 0.196
0.047 0.955 0.696
0.953 0.455 0.804
0.080 0.306 0.538
0.920 0.806 0.962
0.920 0.694 0.462
0.080 0.194 0.038
0.510 0.437 0.382
0.490 0.937 0.118
0.490 0.563 0.618
0.510 0.063 0.882
0.364 0.119 0.457
0.636 0.619 0.043
0.636 0.881 0.543
0.364 0.381 0.957
0.673 0.166 0.240
0.327 0.666 0.260
0.327 0.834 0.760
0.673 0.334 0.740
0.981 0.109 0.382
0.019 0.609 0.118
0.019 0.891 0.618
0.981 0.391 0.882
0.725 0.109 0.556
0.275 0.609 0.944
0.275 0.891 0.444
0.725 0.391 0.056
0.867 0.275 0.480
0.133 0.775 0.020
0.133 0.725 0.520
0.867 0.225 0.980
0.311 0.510 0.589
0.689 0.010 0.911
0.689 0.490 0.411
0.311 0.990 0.089
0.208 0.325 0.560
0.792 0.825 0.940
0.792 0.675 0.440
0.208 0.175 0.060
0.076 0.451 0.322
0.924 0.951 0.178
0.924 0.549 0.678
0.076 0.049 0.822
0.395 0.395 0.351
0.605 0.895 0.149
0.605 0.605 0.649
0.395 0.105 0.851
```

---

Which of these has the highest energy of formation?
Cu3Ge